(1)
{"formula": "UH8O8", "functional": "meta-GGA r2SCAN", "state": "relaxed", "lattice_angstrom": [[6.808, -3.345, 0.000], [6.808, 3.345, 0.000], [-4.724, 0.000, 7.074]], "species": ["U", "U", "H", "H", "H", "H", "H", "H", "H", "H", "H", "H", "H", "H", "H", "H", "H", "H", "O", "O", "O", "O", "O", "O", "O", "O", "O", "O", "O", "O", "O", "O", "O", "O"], "fractional_positions": [[0.000, 0.000, 0.000], [0.000, 0.000, 0.500], [0.228, 0.294, 0.818], [0.230, 0.294, 0.630], [0.240, 0.526, 0.105], [0.294, 0.228, 0.318], [0.294, 0.230, 0.130], [0.324, 0.487, 0.574], [0.474, 0.760, 0.395], [0.487, 0.324, 0.074], [0.513, 0.676, 0.926], [0.526, 0.240, 0.605], [0.676, 0.513, 0.426], [0.706, 0.770, 0.870], [0.706, 0.772, 0.682], [0.760, 0.474, 0.895], [0.770, 0.706, 0.370], [0.772, 0.706, 0.182], [0.054, 0.817, 0.193], [0.169, 0.250, 0.678], [0.183, 0.946, 0.307], [0.244, 0.734, 0.918], [0.250, 0.169, 0.178], [0.266, 0.756, 0.582], [0.330, 0.358, 0.049], [0.358, 0.330, 0.549], [0.642, 0.670, 0.451], [0.670, 0.642, 0.951], [0.734, 0.244, 0.418], [0.750, 0.831, 0.822], [0.756, 0.266, 0.082], [0.817, 0.054, 0.693], [0.831, 0.750, 0.322], [0.946, 0.183, 0.807]], "spacegroup": "No. 15", "crystal_system": "monoclinic", "e_tot_ev_per_atom": -10.635}



(2)
{"formula": "ThSiRh", "functional": "meta-GGA r2SCAN", "state": "relaxed", "lattice_angstrom": [[-2.085, 2.085, 7.187], [2.085, -2.085, 7.187], [2.085, 2.085, -7.187]], "species": ["Th", "Th", "Si", "Si", "Rh", "Rh"], "fractional_positions": [[0.000, 0.000, 0.000], [0.750, 0.250, 0.500], [0.172, 0.672, 0.500], [0.422, 0.422, 0.000], [0.340, 0.840, 0.500], [0.590, 0.590, 0.000]], "spacegroup": "No. 109", "crystal_system": "tetragonal", "e_tot_ev_per_atom": -36.515}



(3)
{"formula": "SmGa3Pd", "functional": "meta-GGA r2SCAN", "state": "relaxed", "lattice_angstrom": [[-2.081, 2.081, 5.375], [2.081, -2.081, 5.375], [2.081, 2.081, -5.375]], "species": ["Sm", "Ga", "Ga", "Ga", "Pd"], "fractional_positions": [[0.000, 0.000, 0.000], [0.386, 0.386, 0.000], [0.614, 0.614, 0.000], [0.750, 0.250, 0.500], [0.250, 0.750, 0.500]], "spacegroup": "No. 119", "crystal_system": "tetragonal", "e_tot_ev_per_atom": -18.153}



(4)
{"formula": "Li2B4O7", "functional": "meta-GGA r2SCAN", "state": "relaxed", "lattice_angstrom": [[-4.725, 4.725, 5.226], [4.725, -4.725, 5.226], [4.725, 4.725, -5.226]], "species": ["Li", "Li", "Li", "Li", "Li", "Li", "Li", "Li", "B", "B", "B", "B", "B", "B", "B", "B", "B", "B", "B", "B", "B", "B", "B", "B", "O", "O", "O", "O", "O", "O", "O", "O", "O", "O", "O", "O", "O", "O", "O", "O", "O", "O", "O", "O", "O", "O", "O", "O", "O", "O", "O", "O"], "fractional_positions": [[0.091, 0.575, 0.166], [0.175, 0.159, 0.334], [0.325, 0.659, 0.984], [0.409, 0.925, 0.834], [0.591, 0.425, 0.516], [0.675, 0.341, 0.016], [0.825, 0.841, 0.666], [0.909, 0.075, 0.484], [0.045, 0.606, 0.665], [0.130, 0.295, 0.939], [0.276, 0.193, 0.747], [0.280, 0.526, 0.583], [0.356, 0.191, 0.061], [0.441, 0.106, 0.561], [0.443, 0.026, 0.247], [0.447, 0.530, 0.253], [0.545, 0.880, 0.439], [0.630, 0.691, 0.835], [0.776, 0.030, 0.083], [0.780, 0.197, 0.753], [0.856, 0.795, 0.165], [0.941, 0.380, 0.335], [0.943, 0.697, 0.417], [0.947, 0.693, 0.917], [0.064, 0.647, 0.856], [0.134, 0.388, 0.391], [0.138, 0.247, 0.753], [0.163, 0.163, 0.000], [0.247, 0.649, 0.714], [0.283, 0.497, 0.098], [0.291, 0.147, 0.583], [0.397, 0.041, 0.083], [0.399, 0.185, 0.902], [0.413, 0.913, 0.500], [0.435, 0.149, 0.402], [0.458, 0.541, 0.644], [0.493, 0.384, 0.247], [0.497, 0.888, 0.253], [0.564, 0.708, 0.417], [0.634, 0.243, 0.747], [0.638, 0.884, 0.891], [0.663, 0.663, 0.000], [0.747, 0.033, 0.598], [0.783, 0.685, 0.786], [0.791, 0.208, 0.144], [0.897, 0.814, 0.356], [0.899, 0.997, 0.214], [0.913, 0.413, 0.500], [0.935, 0.533, 0.286], [0.958, 0.314, 0.917], [0.993, 0.747, 0.109], [0.997, 0.743, 0.609]], "spacegroup": "No. 110", "crystal_system": "tetragonal", "e_tot_ev_per_atom": -8.451}



(5)
{"formula": "PrAl2Si2", "functional": "meta-GGA r2SCAN", "state": "relaxed", "lattice_angstrom": [[4.215, 0.000, 0.000], [-2.107, 3.650, 0.000], [0.000, 0.000, 6.921]], "species": ["Pr", "Al", "Al", "Si", "Si"], "fractional_positions": [[0.000, 0.000, 0.000], [0.333, 0.667, 0.638], [0.667, 0.333, 0.362], [0.333, 0.667, 0.272], [0.667, 0.333, 0.728]], "spacegroup": "No. 164", "crystal_system": "trigonal", "e_tot_ev_per_atom": -12.514}



(6)
{"formula": "Er2Ni2Sn", "functional": "meta-GGA r2SCAN", "state": "relaxed", "lattice_angstrom": [[7.258, 0.000, 0.000], [0.000, 7.258, 0.000], [0.000, 0.000, 3.604]], "species": ["Er", "Er", "Er", "Er", "Ni", "Ni", "Ni", "Ni", "Sn", "Sn"], "fractional_positions": [[0.174, 0.326, 0.000], [0.326, 0.826, 0.000], [0.674, 0.174, 0.000], [0.826, 0.674, 0.000], [0.121, 0.621, 0.500], [0.379, 0.121, 0.500], [0.621, 0.879, 0.500], [0.879, 0.379, 0.500], [0.000, 0.000, 0.500], [0.500, 0.500, 0.500]], "spacegroup": "No. 127", "crystal_system": "tetragonal", "e_tot_ev_per_atom": -23.923}



(7)
{"formula": "Ba8Ga7", "functional": "meta-GGA r2SCAN", "state": "relaxed", "lattice_angstrom": [[13.065, 0.000, 0.000], [0.000, 13.065, 0.000], [0.000, 0.000, 13.065]], "species": ["Ba", "Ba", "Ba", "Ba", "Ba", "Ba", "Ba", "Ba", "Ba", "Ba", "Ba", "Ba", "Ba", "Ba", "Ba", "Ba", "Ba", "Ba", "Ba", "Ba", "Ba", "Ba", "Ba", "Ba", "Ba", "Ba", "Ba", "Ba", "Ba", "Ba", "Ba", "Ba", "Ga", "Ga", "Ga", "Ga", "Ga", "Ga", "Ga", "Ga", "Ga", "Ga", "Ga", "Ga", "Ga", "Ga", "Ga", "Ga", "Ga", "Ga", "Ga", "Ga", "Ga", "Ga", "Ga", "Ga", "Ga", "Ga", "Ga", "Ga"], "fractional_positions": [[0.001, 0.205, 0.944], [0.020, 0.205, 0.439], [0.056, 0.501, 0.295], [0.061, 0.980, 0.705], [0.187, 0.687, 0.813], [0.188, 0.812, 0.312], [0.205, 0.439, 0.020], [0.205, 0.944, 0.001], [0.295, 0.056, 0.501], [0.295, 0.561, 0.520], [0.312, 0.188, 0.812], [0.313, 0.313, 0.313], [0.439, 0.020, 0.205], [0.444, 0.499, 0.795], [0.480, 0.795, 0.939], [0.499, 0.795, 0.444], [0.501, 0.295, 0.056], [0.520, 0.295, 0.561], [0.556, 0.999, 0.705], [0.561, 0.520, 0.295], [0.687, 0.813, 0.187], [0.688, 0.688, 0.688], [0.705, 0.061, 0.980], [0.705, 0.556, 0.999], [0.795, 0.444, 0.499], [0.795, 0.939, 0.480], [0.812, 0.312, 0.188], [0.813, 0.187, 0.687], [0.939, 0.480, 0.795], [0.944, 0.001, 0.205], [0.980, 0.705, 0.061], [0.999, 0.705, 0.556], [0.069, 0.431, 0.569], [0.076, 0.262, 0.693], [0.082, 0.244, 0.188], [0.188, 0.082, 0.244], [0.193, 0.424, 0.738], [0.238, 0.307, 0.576], [0.244, 0.188, 0.082], [0.256, 0.812, 0.582], [0.262, 0.693, 0.076], [0.307, 0.576, 0.238], [0.312, 0.918, 0.744], [0.418, 0.756, 0.688], [0.424, 0.738, 0.193], [0.431, 0.569, 0.069], [0.569, 0.069, 0.431], [0.576, 0.238, 0.307], [0.582, 0.256, 0.812], [0.688, 0.418, 0.756], [0.693, 0.076, 0.262], [0.738, 0.193, 0.424], [0.744, 0.312, 0.918], [0.756, 0.688, 0.418], [0.762, 0.807, 0.924], [0.807, 0.924, 0.762], [0.812, 0.582, 0.256], [0.918, 0.744, 0.312], [0.924, 0.762, 0.807], [0.931, 0.931, 0.931]], "spacegroup": "No. 198", "crystal_system": "cubic", "e_tot_ev_per_atom": -19.887}



(8)
{"formula": "KHo3F10", "functional": "meta-GGA r2SCAN", "state": "relaxed", "lattice_angstrom": [[0.000, 5.724, 5.724], [5.724, 0.000, 5.724], [5.724, 5.724, 0.000]], "species": ["K", "K", "Ho", "Ho", "Ho", "Ho", "Ho", "Ho", "F", "F", "F", "F", "F", "F", "F", "F", "F", "F", "F", "F", "F", "F", "F", "F", "F", "F", "F", "F"], "fractional_positions": [[0.250, 0.250, 0.250], [0.750, 0.750, 0.750], [0.240, 0.240, 0.760], [0.240, 0.760, 0.240], [0.240, 0.760, 0.760], [0.760, 0.240, 0.240], [0.760, 0.240, 0.760], [0.760, 0.760, 0.240], [0.112, 0.112, 0.112], [0.112, 0.112, 0.664], [0.112, 0.664, 0.112], [0.168, 0.500, 0.500], [0.168, 0.500, 0.832], [0.168, 0.832, 0.500], [0.336, 0.888, 0.888], [0.500, 0.168, 0.500], [0.500, 0.168, 0.832], [0.500, 0.500, 0.168], [0.500, 0.500, 0.832], [0.500, 0.832, 0.168], [0.500, 0.832, 0.500], [0.664, 0.112, 0.112], [0.832, 0.168, 0.500], [0.832, 0.500, 0.168], [0.832, 0.500, 0.500], [0.888, 0.336, 0.888], [0.888, 0.888, 0.336], [0.888, 0.888, 0.888]], "spacegroup": "No. 225", "crystal_system": "cubic", "e_tot_ev_per_atom": -14.019}



(9)
{"formula": "Ba5Al5Pb", "functional": "meta-GGA r2SCAN", "state": "relaxed", "lattice_angstrom": [[6.091, 0.000, 0.000], [-3.046, 5.275, 0.000], [0.000, 0.000, 11.321]], "species": ["Ba", "Ba", "Ba", "Ba", "Ba", "Al", "Al", "Al", "Al", "Al", "Pb"], "fractional_positions": [[0.000, 0.000, 0.000], [0.333, 0.667, 0.202], [0.333, 0.667, 0.798], [0.667, 0.333, 0.329], [0.667, 0.333, 0.671], [0.000, 0.000, 0.326], [0.000, 0.000, 0.674], [0.177, 0.354, 0.500], [0.177, 0.823, 0.500], [0.646, 0.823, 0.500], [0.667, 0.333, 0.000]], "spacegroup": "No. 187", "crystal_system": "hexagonal", "e_tot_ev_per_atom": -20.607}



(10)
{"formula": "U7Te12", "functional": "meta-GGA r2SCAN", "state": "relaxed", "lattice_angstrom": [[12.592, 0.000, 0.000], [0.000, 4.275, 0.000], [-6.267, 0.000, 10.937]], "species": ["U", "U", "U", "U", "U", "U", "U", "Te", "Te", "Te", "Te", "Te", "Te", "Te", "Te", "Te", "Te", "Te", "Te"], "fractional_positions": [[0.000, 0.000, 0.000], [0.123, 0.500, 0.431], [0.291, 0.000, 0.874], [0.417, 0.000, 0.292], [0.569, 0.000, 0.722], [0.721, 0.500, 0.165], [0.859, 0.500, 0.567], [0.059, 0.000, 0.585], [0.095, 0.500, 0.861], [0.181, 0.500, 0.197], [0.313, 0.000, 0.473], [0.356, 0.500, 0.723], [0.431, 0.500, 0.109], [0.567, 0.500, 0.508], [0.573, 0.000, 0.974], [0.708, 0.000, 0.351], [0.785, 0.500, 0.936], [0.818, 0.000, 0.717], [0.940, 0.000, 0.233]], "spacegroup": "No. 6", "crystal_system": "monoclinic", "e_tot_ev_per_atom": -46.602}



(11)
{"formula": "InTe2O5F", "functional": "meta-GGA r2SCAN", "state": "relaxed", "lattice_angstrom": [[3.508, -5.672, 0.000], [3.508, 5.672, 0.000], [0.000, 0.000, 13.226]], "species": ["In", "In", "In", "In", "Te", "Te", "Te", "Te", "Te", "Te", "Te", "Te", "O", "O", "O", "O", "O", "O", "O", "O", "O", "O", "O", "O", "O", "O", "O", "O", "O", "O", "O", "O", "F", "F", "F", "F"], "fractional_positions": [[0.050, 0.247, 0.374], [0.247, 0.050, 0.626], [0.753, 0.950, 0.126], [0.950, 0.753, 0.874], [0.142, 0.681, 0.110], [0.271, 0.379, 0.854], [0.319, 0.858, 0.390], [0.379, 0.271, 0.146], [0.621, 0.729, 0.646], [0.681, 0.142, 0.890], [0.729, 0.621, 0.354], [0.858, 0.319, 0.610], [0.011, 0.099, 0.874], [0.099, 0.011, 0.126], [0.113, 0.582, 0.336], [0.201, 0.766, 0.975], [0.234, 0.799, 0.525], [0.264, 0.460, 0.087], [0.298, 0.335, 0.716], [0.335, 0.298, 0.284], [0.418, 0.887, 0.164], [0.460, 0.264, 0.913], [0.540, 0.736, 0.413], [0.582, 0.113, 0.664], [0.665, 0.702, 0.784], [0.702, 0.665, 0.216], [0.736, 0.540, 0.587], [0.766, 0.201, 0.025], [0.799, 0.234, 0.475], [0.887, 0.418, 0.836], [0.901, 0.989, 0.626], [0.989, 0.901, 0.374], [0.177, 0.823, 0.750], [0.268, 0.268, 0.500], [0.732, 0.732, 0.000], [0.823, 0.177, 0.250]], "spacegroup": "No. 20", "crystal_system": "orthorhombic", "e_tot_ev_per_atom": -13.345}



(12)
{"formula": "UTeO5", "functional": "meta-GGA r2SCAN", "state": "relaxed", "lattice_angstrom": [[10.174, 0.000, 0.000], [0.000, 5.346, 0.000], [0.000, 0.000, 7.787]], "species": ["U", "U", "U", "U", "Te", "Te", "Te", "Te", "O", "O", "O", "O", "O", "O", "O", "O", "O", "O", "O", "O", "O", "O", "O", "O", "O", "O", "O", "O"], "fractional_positions": [[0.014, 0.032, 0.000], [0.486, 0.032, 0.500], [0.514, 0.968, 0.000], [0.986, 0.968, 0.500], [0.250, 0.372, 0.250], [0.250, 0.372, 0.750], [0.750, 0.628, 0.250], [0.750, 0.628, 0.750], [0.087, 0.687, 0.496], [0.102, 0.155, 0.273], [0.106, 0.145, 0.726], [0.115, 0.755, 0.005], [0.213, 0.268, 0.000], [0.287, 0.268, 0.500], [0.385, 0.755, 0.505], [0.394, 0.145, 0.226], [0.398, 0.155, 0.773], [0.413, 0.687, 0.996], [0.587, 0.313, 0.496], [0.602, 0.845, 0.273], [0.606, 0.855, 0.726], [0.615, 0.245, 0.005], [0.713, 0.732, 0.000], [0.787, 0.732, 0.500], [0.885, 0.245, 0.505], [0.894, 0.855, 0.226], [0.898, 0.845, 0.773], [0.913, 0.313, 0.996]], "spacegroup": "No. 29", "crystal_system": "orthorhombic", "e_tot_ev_per_atom": -21.709}



(13)
{"formula": "Th2TeN2", "functional": "meta-GGA r2SCAN", "state": "relaxed", "lattice_angstrom": [[-2.053, 2.053, 6.588], [2.053, -2.053, 6.588], [2.053, 2.053, -6.588]], "species": ["Th", "Th", "Te", "N", "N"], "fractional_positions": [[0.164, 0.164, 0.000], [0.836, 0.836, 0.000], [0.500, 0.500, 0.000], [0.250, 0.750, 0.500], [0.750, 0.250, 0.500]], "spacegroup": "No. 139", "crystal_system": "tetragonal", "e_tot_ev_per_atom": -40.233}



(14)
{"formula": "Ca3Mg", "functional": "meta-GGA r2SCAN", "state": "relaxed", "lattice_angstrom": [[-2.642, 2.642, 5.296], [2.642, -2.642, 5.296], [2.642, 2.642, -5.296]], "species": ["Ca", "Ca", "Ca", "Mg"], "fractional_positions": [[0.000, 0.000, 0.000], [0.250, 0.750, 0.500], [0.750, 0.250, 0.500], [0.500, 0.500, 0.000]], "spacegroup": "No. 139", "crystal_system": "tetragonal", "e_tot_ev_per_atom": -6.301}



(15)
{"formula": "AlAg", "functional": "meta-GGA r2SCAN", "state": "relaxed", "lattice_angstrom": [[2.926, 0.000, 0.000], [-1.463, 2.534, 0.000], [0.000, 0.000, 4.428]], "species": ["Al", "Ag"], "fractional_positions": [[0.000, 0.000, 0.000], [0.667, 0.333, 0.500]], "spacegroup": "No. 187", "crystal_system": "hexagonal", "e_tot_ev_per_atom": -14.074}